Te2MoW3Se6 | PBE | relaxed

Cell: 3.379 3.379 38.531 Å, 90.00 90.00 120.00°
Sites, in units of the cell vectors:
Te1 0.333 0.667 0.331
Te2 0.333 0.667 0.233
Mo1 0.667 0.333 0.282
W1 0.333 0.667 0.094
W2 0.333 0.667 0.470
W3 0.667 0.333 0.658
Se1 0.333 0.667 0.701
Se2 0.667 0.333 0.051
Se3 0.667 0.333 0.427
Se4 0.667 0.333 0.137
Se5 0.667 0.333 0.513
Se6 0.333 0.667 0.614

Results
size of the total moment: 0.00 μB per cell
space group: P3m1 (156)
VASP energy: -82.557 eV for the cell shown
formation energy: -700.5 meV per atom